Entry 1:
Density functional theory data (PBE) for an optimized crystal structure of MgB2H8.

E_tot = -4.004 eV/atom
ρ = 1.055 g cm⁻³
relative energy among the computed polymorphs = 1.098 kcal/mol of atoms
E_form = -3.4 eV/f.u.

a = 4.2770 Å, b = 4.2770 Å, c = 5.3659 Å
α = 90.00°, β = 90.00°, γ = 120.00°
With the nearest neighbours (Å) after each atom.
Fractional coordinates of all 11 atoms:
H: 0.3613 0.1806 0.7088  1 B 1.22
H: 0.1806 0.8194 0.2912  1 B 1.22
Mg: 0.0000 0.0000 0.0000  6 H 2.06
H: 0.3333 0.6667 0.9770  1 B 1.22
B: 0.6667 0.3333 0.7956  4 H 1.22
H: 0.8194 0.1806 0.7088  1 B 1.22
H: 0.1806 0.3613 0.2912  1 B 1.22
H: 0.6387 0.8194 0.2912  1 B 1.22
H: 0.6667 0.3333 0.0230  1 B 1.22
B: 0.3333 0.6667 0.2044  4 H 1.22
H: 0.8194 0.6387 0.7088  1 B 1.22



Entry 2:
Density functional theory data (PBE) for an optimized crystal structure of MgB2H13N3.

E_tot = -4.792 eV/atom
ρ = 1.040 g cm⁻³
E_form = -8.1 eV/f.u.

a = 9.0351 Å, b = 8.0936 Å, c = 8.8653 Å
α = 84.59°, β = 90.00°, γ = 90.00°
With the nearest neighbours (Å) after each atom.
Fractional coordinates of all 76 atoms:
H: 0.9087 0.9872 0.6353  1 N 1.03
H: 0.5674 0.9827 0.3166  1 N 1.02
H: 0.4929 0.7060 0.5143  1 N 1.03
H: 0.9326 0.9827 0.8166  1 N 1.02
N: 0.6186 0.6014 0.1633  2 H 1.02-1.03
N: 0.3814 0.3986 0.8367  2 H 1.02-1.03
H: 0.5964 0.4772 0.1839  1 N 1.02
H: 0.6415 0.6184 0.0496  1 N 1.03
H: 0.3524 0.4620 0.2340  1 B 1.25
H: 0.1821 0.2257 0.8103  1 B 1.23
B: 0.2582 0.3491 0.2451  3 H 1.23-1.25
N: 0.9873 0.9648 0.7183  3 H 1.02-1.03
N: 0.1186 0.3986 0.3367  2 H 1.02-1.03
H: 0.1476 0.4620 0.7340  1 B 1.25
H: 0.7187 0.2082 0.3246  1 B 1.25
N: 0.1087 0.6860 0.9671  2 H 1.02-1.03
H: 0.3179 0.2257 0.3103  1 B 1.23
H: 0.2813 0.7918 0.6754  1 B 1.25
N: 0.8814 0.6014 0.6633  2 H 1.02-1.03
H: 0.1326 0.5643 0.0004  1 N 1.02
B: 0.7582 0.6509 0.2549  3 H 1.23-1.25
H: 0.1415 0.3816 0.4504  1 N 1.03
H: 0.8585 0.6184 0.5496  1 N 1.03
H: 0.9036 0.4772 0.6839  1 N 1.02
H: 0.8179 0.7743 0.1897  1 B 1.23
H: 0.2243 0.3190 0.1155  1 B 1.23
H: 0.7757 0.6810 0.8845  1 B 1.23
H: 0.6326 0.4357 0.4996  1 N 1.02
H: 0.4379 0.0606 0.2037  1 N 1.03
H: 0.9929 0.2940 0.9857  1 N 1.03
Mg: 0.0757 0.7180 0.7282  3 H 1.99-2.18, 3 N 2.10-2.15
Mg: 0.4243 0.7180 0.2282  3 H 1.99-2.18, 3 N 2.10-2.15
H: 0.0071 0.7060 0.0143  1 N 1.03
H: 0.8674 0.4357 0.9996  1 N 1.02
H: 0.3518 0.7636 0.9937  1 B 1.24
H: 0.0674 0.0173 0.1834  1 N 1.02
H: 0.7955 0.0521 0.0090  1 B 1.23
H: 0.3674 0.5643 0.5004  1 N 1.02
H: 0.6476 0.5380 0.7660  1 B 1.25
B: 0.2418 0.3491 0.7451  3 H 1.23-1.25
H: 0.0913 0.0128 0.3647  1 N 1.03
N: 0.0127 0.0352 0.2817  3 H 1.02-1.03
H: 0.7813 0.2082 0.8246  1 B 1.25
H: 0.9379 0.9394 0.2963  1 N 1.03
N: 0.5127 0.9648 0.2183  3 H 1.02-1.03
N: 0.6087 0.3140 0.5329  2 H 1.02-1.03
H: 0.4326 0.0173 0.6834  1 N 1.02
H: 0.5621 0.9394 0.7963  1 N 1.03
H: 0.7243 0.6810 0.3845  1 B 1.23
H: 0.2955 0.9479 0.4910  1 B 1.23
Mg: 0.9243 0.2820 0.2718  3 H 1.99-2.18, 3 N 2.10-2.15
H: 0.8518 0.2364 0.5063  1 B 1.24
H: 0.5913 0.9872 0.1353  1 N 1.03
H: 0.4036 0.5228 0.8161  1 N 1.02
B: 0.2254 0.8011 0.0335  3 H 1.23-1.25
B: 0.7746 0.1989 0.9665  3 H 1.23-1.25
H: 0.0621 0.0606 0.7037  1 N 1.03
H: 0.8524 0.5380 0.2660  1 B 1.25
N: 0.3913 0.6860 0.4671  2 H 1.02-1.03
H: 0.3585 0.3816 0.9504  1 N 1.03
H: 0.6482 0.2364 0.0063  1 B 1.24
B: 0.7254 0.1989 0.4665  3 H 1.23-1.25
Mg: 0.5757 0.2820 0.7718  3 H 1.99-2.18, 3 N 2.10-2.15
H: 0.2757 0.3190 0.6155  1 B 1.23
H: 0.6821 0.7743 0.6897  1 B 1.23
N: 0.4873 0.0352 0.7817  3 H 1.02-1.03
H: 0.4087 0.0128 0.8647  1 N 1.03
H: 0.7045 0.0521 0.5090  1 B 1.23
H: 0.5071 0.2940 0.4857  1 N 1.03
B: 0.2746 0.8011 0.5335  3 H 1.23-1.25
H: 0.2187 0.7918 0.1754  1 B 1.25
H: 0.2045 0.9479 0.9910  1 B 1.23
B: 0.7418 0.6509 0.7549  3 H 1.23-1.25
H: 0.1482 0.7636 0.4937  1 B 1.24
N: 0.8913 0.3140 0.0329  2 H 1.02-1.03
H: 0.0964 0.5228 0.3161  1 N 1.02



Entry 3:
Density functional theory data (PBE) for an optimized crystal structure of MgB3H20N3.

E_tot = -4.539 eV/atom
ρ = 0.777 g cm⁻³
E_form = -9.1 eV/f.u.

a = 5.5828 Å, b = 9.5170 Å, c = 9.5610 Å
α = 90.00°, β = 90.00°, γ = 89.99°
With the nearest neighbours (Å) after each atom.
Fractional coordinates of all 54 atoms:
H: 0.2683 0.9368 0.9940  1 N 1.03
H: 0.7982 0.8833 0.2698  1 N 1.03
B: 0.8816 0.9802 0.0005  3 H 1.22
H: 0.8232 0.7249 0.9176  1 N 1.03
H: 0.7117 0.1530 0.7110  1 N 1.02
H: 0.7241 0.6404 0.7797  1 N 1.02
H: 0.1113 0.1222 0.3140  1 B 1.22
N: 0.8079 0.3730 0.1242  3 H 1.03
Mg: 0.5632 0.9985 0.4928  4 H 2.01-2.14, 2 N 2.13-2.14
H: 0.8472 0.9544 0.8775  1 B 1.22
B: 0.3480 0.3505 0.8697  4 H 1.21-1.24
H: 0.7728 0.2682 0.1082  1 N 1.03
H: 0.2201 0.5468 0.3825  1 N 1.03
H: 0.2295 0.5981 0.5474  1 N 1.03
H: 0.2390 0.7549 0.6902  1 B 1.21
H: 0.2765 0.9644 0.6753  1 B 1.23
H: 0.8242 0.2262 0.5707  1 N 1.03
H: 0.9862 0.8943 0.4005  1 N 1.02
H: 0.8421 0.8772 0.0733  1 B 1.22
Mg: 0.5658 0.5018 0.0081  6 H 2.12-2.23, 2 N 2.14, 2 B 2.29-2.30
H: 0.2326 0.2694 0.7994  1 B 1.21
H: 0.3113 0.3296 0.9955  1 B 1.24
H: 0.5608 0.8385 0.6495  1 B 1.23
H: 0.2090 0.1033 0.9585  1 N 1.03
H: 0.8010 0.3876 0.2309  1 N 1.03
H: 0.5639 0.3368 0.8474  1 B 1.23
H: 0.3179 0.6828 0.0301  1 B 1.23
H: 0.3175 0.1574 0.4795  1 B 1.24
B: 0.3429 0.8496 0.6314  4 H 1.21-1.24
N: 0.8109 0.8731 0.3768  3 H 1.02-1.03
H: 0.1982 0.0465 0.1214  1 N 1.03
H: 0.7831 0.5856 0.4648  1 B 1.22
H: 0.5789 0.6521 0.1716  1 B 1.23
H: 0.2654 0.7330 0.2316  1 B 1.21
H: 0.2814 0.4317 0.5058  1 N 1.03
N: 0.7935 0.6258 0.8777  3 H 1.02-1.03
H: 0.2865 0.5304 0.1728  1 B 1.24
H: 0.7619 0.0801 0.0394  1 B 1.22
H: 0.9503 0.0858 0.6385  1 N 1.03
B: 0.8977 0.4825 0.5005  3 H 1.22
N: 0.7873 0.1303 0.6161  3 H 1.02-1.03
N: 0.1590 0.0194 0.0196  3 H 1.03
H: 0.4552 0.0650 0.3032  1 B 1.24
N: 0.1770 0.5173 0.4830  3 H 1.03
H: 0.7880 0.7678 0.3972  1 N 1.03
H: 0.2903 0.4726 0.8418  1 B 1.23
H: 0.9845 0.3862 0.0976  1 N 1.03
H: 0.8523 0.3826 0.4247  1 B 1.22
H: 0.9595 0.5822 0.8619  1 N 1.03
H: 0.8618 0.4537 0.6226  1 B 1.22
B: 0.3139 0.1538 0.3500  4 H 1.21-1.24
H: 0.3022 0.8429 0.5039  1 B 1.24
H: 0.3756 0.2676 0.3054  1 B 1.21
B: 0.3606 0.6511 0.1527  4 H 1.21-1.24